(1)
# SnCl2O2 PBE relaxed
data_SnCl2O2
_chemical_formula_sum 'Sn4 Cl8 O8'
_space_group_name_H-M_alt 'P 1'
_space_group_IT_number 1
_cell_length_a 9.487
_cell_length_b 7.391
_cell_length_c 9.609
_cell_angle_alpha 90.00
_cell_angle_beta 116.32
_cell_angle_gamma 90.00
loop_
_space_group_symop_operation_xyz
'x,y,z'
loop_
_atom_site_label
_atom_site_fract_x
_atom_site_fract_y
_atom_site_fract_z
Sn1 0.092 0.217 0.147
Sn2 0.092 0.283 0.647
Sn3 0.908 0.717 0.353
Sn4 0.908 0.783 0.853
Cl1 0.133 0.015 0.394
Cl2 0.133 0.485 0.894
Cl3 0.180 0.557 0.503
Cl4 0.180 0.943 0.003
Cl5 0.820 0.057 0.997
Cl6 0.820 0.443 0.497
Cl7 0.867 0.515 0.106
Cl8 0.867 0.985 0.606
O1 0.420 0.618 0.308
O2 0.420 0.882 0.808
O3 0.425 0.049 0.814
O4 0.425 0.451 0.314
O5 0.575 0.549 0.686
O6 0.575 0.951 0.186
O7 0.580 0.118 0.192
O8 0.580 0.382 0.692
# total DFT energy (no corrections) = -81.9 eV/cell
# total magnetization = 2.00 μB/f.u.
# volume = 603.91 Å³/cell

(2)
# Sr2Sb3 PBE relaxed
data_Sr2Sb3
_chemical_formula_sum 'Sr16 Sb24'
_space_group_name_H-M_alt 'P 1'
_space_group_IT_number 1
_cell_length_a 6.739
_cell_length_b 13.115
_cell_length_c 15.348
_cell_angle_alpha 90.00
_cell_angle_beta 90.04
_cell_angle_gamma 90.00
loop_
_space_group_symop_operation_xyz
'x,y,z'
loop_
_atom_site_label
_atom_site_fract_x
_atom_site_fract_y
_atom_site_fract_z
Sr1 0.006 0.221 0.244
Sr2 0.006 0.279 0.744
Sr3 0.247 0.127 0.996
Sr4 0.247 0.373 0.496
Sr5 0.254 0.624 0.004
Sr6 0.254 0.876 0.504
Sr7 0.493 0.529 0.248
Sr8 0.493 0.971 0.748
Sr9 0.507 0.029 0.252
Sr10 0.507 0.471 0.752
Sr11 0.746 0.124 0.496
Sr12 0.746 0.376 0.996
Sr13 0.753 0.627 0.504
Sr14 0.753 0.873 0.004
Sr15 0.994 0.721 0.256
Sr16 0.994 0.779 0.756
Sb1 0.034 0.031 0.662
Sb2 0.034 0.469 0.162
Sb3 0.085 0.545 0.654
Sb4 0.085 0.955 0.154
Sb5 0.236 0.117 0.423
Sb6 0.236 0.383 0.923
Sb7 0.263 0.631 0.428
Sb8 0.263 0.869 0.928
Sb9 0.420 0.705 0.657
Sb10 0.420 0.795 0.157
Sb11 0.465 0.221 0.659
Sb12 0.465 0.279 0.159
Sb13 0.535 0.721 0.841
Sb14 0.535 0.779 0.341
Sb15 0.580 0.205 0.843
Sb16 0.580 0.295 0.343
Sb17 0.737 0.131 0.072
Sb18 0.737 0.369 0.572
Sb19 0.764 0.617 0.077
Sb20 0.764 0.883 0.577
Sb21 0.915 0.045 0.846
Sb22 0.915 0.455 0.346
Sb23 0.966 0.531 0.838
Sb24 0.966 0.969 0.338
# total DFT energy (no corrections) = -158.1 eV/cell
# volume = 1356.46 Å³/cell

(3)
# SrMg6Ni PBE relaxed
data_SrMg6Ni
_chemical_formula_sum 'Sr2 Mg12 Ni2'
_space_group_name_H-M_alt 'P 1'
_space_group_IT_number 1
_cell_length_a 4.966
_cell_length_b 6.035
_cell_length_c 13.180
_cell_angle_alpha 90.00
_cell_angle_beta 90.00
_cell_angle_gamma 90.00
loop_
_space_group_symop_operation_xyz
'x,y,z'
loop_
_atom_site_label
_atom_site_fract_x
_atom_site_fract_y
_atom_site_fract_z
Sr1 0.500 0.500 0.198
Sr2 0.500 0.000 0.698
Mg1 0.500 0.247 0.442
Mg2 0.500 0.753 0.442
Mg3 0.000 0.763 0.078
Mg4 0.000 0.237 0.078
Mg5 0.000 0.000 0.294
Mg6 0.000 0.500 0.366
Mg7 0.500 0.747 0.942
Mg8 0.500 0.253 0.942
Mg9 0.000 0.263 0.578
Mg10 0.000 0.737 0.578
Mg11 0.000 0.500 0.794
Mg12 0.000 0.000 0.866
Ni1 0.500 0.000 0.103
Ni2 0.500 0.500 0.603
# total DFT energy (no corrections) = -32.9 eV/cell
# total magnetization = 0.00 μB/f.u.
# volume = 395.01 Å³/cell

(4)
# SmV2Fe10 PBE relaxed
data_SmV2Fe10
_chemical_formula_sum 'Sm1 V2 Fe10'
_space_group_name_H-M_alt 'P 1'
_space_group_IT_number 1
_cell_length_a 6.461
_cell_length_b 6.461
_cell_length_c 6.461
_cell_angle_alpha 137.52
_cell_angle_beta 97.91
_cell_angle_gamma 97.17
loop_
_space_group_symop_operation_xyz
'x,y,z'
loop_
_atom_site_label
_atom_site_fract_x
_atom_site_fract_y
_atom_site_fract_z
Sm1 0.000 0.000 0.000
V1 0.359 0.359 0.000
V2 0.641 0.641 0.000
Fe1 0.000 0.000 0.500
Fe2 0.000 0.500 0.000
Fe3 0.228 0.500 0.728
Fe4 0.231 0.731 0.500
Fe5 0.360 0.000 0.360
Fe6 0.500 0.000 0.000
Fe7 0.500 0.500 0.500
Fe8 0.640 0.000 0.640
Fe9 0.769 0.269 0.500
Fe10 0.772 0.500 0.272
# total DFT energy (no corrections) = -108.2 eV/cell
# total magnetization = 16.97 μB/f.u.
# volume = 169.74 Å³/cell

(5)
# K2Dy4Cu4Se9 PBE relaxed
data_K2Dy4Cu4Se9
_chemical_formula_sum 'K2 Dy4 Cu4 Se9'
_space_group_name_H-M_alt 'P 1'
_space_group_IT_number 1
_cell_length_a 7.455
_cell_length_b 7.455
_cell_length_c 16.520
_cell_angle_alpha 108.59
_cell_angle_beta 108.59
_cell_angle_gamma 32.04
loop_
_space_group_symop_operation_xyz
'x,y,z'
loop_
_atom_site_label
_atom_site_fract_x
_atom_site_fract_y
_atom_site_fract_z
K1 0.033 0.033 0.269
K2 0.967 0.967 0.731
Dy1 0.232 0.232 0.103
Dy2 0.345 0.345 0.444
Dy3 0.655 0.655 0.556
Dy4 0.768 0.768 0.897
Cu1 0.240 0.240 0.729
Cu2 0.424 0.424 0.029
Cu3 0.576 0.576 0.971
Cu4 0.760 0.760 0.271
Se1 0.000 0.000 0.500
Se2 0.135 0.135 0.922
Se3 0.301 0.301 0.604
Se4 0.356 0.356 0.277
Se5 0.393 0.393 0.870
Se6 0.607 0.607 0.130
Se7 0.644 0.644 0.723
Se8 0.699 0.699 0.396
Se9 0.865 0.865 0.078
# total DFT energy (no corrections) = -92.9 eV/cell
# total magnetization = 0.00 μB/f.u.
# volume = 459.53 Å³/cell

(6)
# Mg5Si9 PBE relaxed
data_Mg5Si9
_chemical_formula_sum 'Mg10 Si18'
_space_group_name_H-M_alt 'P 1'
_space_group_IT_number 1
_cell_length_a 7.390
_cell_length_b 7.467
_cell_length_c 10.442
_cell_angle_alpha 80.25
_cell_angle_beta 85.49
_cell_angle_gamma 60.47
loop_
_space_group_symop_operation_xyz
'x,y,z'
loop_
_atom_site_label
_atom_site_fract_x
_atom_site_fract_y
_atom_site_fract_z
Mg1 0.000 0.000 0.000
Mg2 0.012 0.404 0.411
Mg3 0.059 0.703 0.610
Mg4 0.088 0.301 0.795
Mg5 0.314 0.571 0.130
Mg6 0.350 0.863 0.447
Mg7 0.456 0.142 0.606
Mg8 0.486 0.185 0.007
Mg9 0.697 0.483 0.949
Mg10 0.798 0.765 0.167
Si1 0.045 0.337 0.130
Si2 0.059 0.597 0.949
Si3 0.065 0.861 0.284
Si4 0.068 0.072 0.624
Si5 0.330 0.503 0.408
Si6 0.350 0.935 0.172
Si7 0.357 0.777 0.741
Si8 0.362 0.450 0.788
Si9 0.412 0.895 0.928
Si10 0.434 0.153 0.295
Si11 0.620 0.535 0.286
Si12 0.623 0.423 0.549
Si13 0.701 0.670 0.649
Si14 0.720 0.224 0.184
Si15 0.734 0.861 0.433
Si16 0.741 0.873 0.835
Si17 0.759 0.198 0.771
Si18 0.860 0.107 0.437
# total DFT energy (no corrections) = -109.2 eV/cell
# total magnetization = 0.00 μB/f.u.
# volume = 494.09 Å³/cell

Number 1: density 2437 kg/m3. Number 2: density 5294 kg/m3. Number 3: density 2456 kg/m3. Number 4: density 7931 kg/m3. Number 5: density 6118 kg/m3. Number 6: density 2516 kg/m3.